Record 1
This record from Materials Project describes an optimized crystal structure of BaYMgCuAgO5. The functional is GGA-PBE.

Lattice parameters (Å, degrees): 3.730 4.340 10.458 90.00 90.00 90.00
Space group Pmm2 (No. 25)
Symmetry-distinct sites (fractional):
Ba1 0.000 0.000 0.000 [1 per cell]
Y1 0.000 0.000 0.663 [1 per cell]
Mg1 0.000 0.500 0.249 [1 per cell]
Cu1 0.500 0.500 0.793 [1 per cell]
Ag1 0.500 0.500 0.518 [1 per cell]
O1 0.000 0.500 0.426 [1 per cell]
O2 0.000 0.500 0.767 [1 per cell]
O3 0.500 0.000 0.555 [1 per cell]
O4 0.500 0.000 0.835 [1 per cell]
O5 0.500 0.500 0.151 [1 per cell]

Properties
E above lowest polymorph   57 meV/atom
Total energy after the MP2020 corrections   -6.136 eV per atom

---

Record 2
This record from Materials Project describes an optimized crystal structure of BaYMgCuAgO5. The functional is GGA-PBE.

Lattice parameters (Å, degrees): 3.859 3.859 9.868 90.00 90.00 90.00
Space group P4mm (No. 99)
Symmetry-distinct sites (fractional):
Ba1 0.000 0.000 0.000 [1 per cell]
Y1 0.000 0.000 0.368 [1 per cell]
Mg1 0.000 0.000 0.631 [1 per cell]
Cu1 0.500 0.500 0.214 [1 per cell]
Ag1 0.500 0.500 0.718 [1 per cell]
O1 0.000 0.500 0.235 [2 per cell]
O2 0.000 0.500 0.550 [2 per cell]
O3 0.500 0.500 0.939 [1 per cell]

Properties
E above lowest polymorph   0 meV/atom
Total energy after the MP2020 corrections   -6.193 eV per atom

---

Record 3
This record from Materials Project describes an optimized crystal structure of BaCu2Ag2O4. The functional is GGA-PBE.

Lattice parameters (Å, degrees): 6.527 6.527 6.928 90.00 90.00 90.00
Space group P4/nbm (No. 125, origin choice 2)
Symmetry-distinct sites (fractional):
Ba1 0.250 0.250 0.000 [2 per cell]
Cu1 0.250 0.750 0.222 [4 per cell]
Ag1 0.000 0.000 0.500 [4 per cell]
O1 0.056 0.556 0.211 [8 per cell]

Properties
Total energy after the MP2020 corrections   -5.073 eV per atom

---

Record 4
This record from Materials Project describes an optimized crystal structure of BaCu5AgP2. The functional is GGA-PBE.

Lattice parameters (Å, degrees): 4.112 4.112 9.207 90.00 90.00 90.00
Space group P4/mmm (No. 123)
Symmetry-distinct sites (fractional):
Ba1 0.000 0.000 0.000 [1 per cell]
Cu1 0.000 0.500 0.312 [4 per cell]
Cu2 0.500 0.500 0.500 [1 per cell]
Ag1 0.000 0.000 0.500 [1 per cell]
P1 0.500 0.500 0.202 [2 per cell]

---

Record 5
This record from Materials Project describes an optimized crystal structure of BaErAgS3. The functional is GGA-PBE.

Lattice parameters (Å, degrees): 17.534 4.058 8.603 90.00 103.01 90.00
Space group C2/m (No. 12)
Symmetry-distinct sites (fractional):
Ba1 0.136 0.000 0.069 [4 per cell]
Er1 0.164 0.000 0.580 [4 per cell]
Ag1 0.015 0.500 0.709 [4 per cell]
S1 0.000 0.000 0.500 [2 per cell]
S2 0.000 0.500 0.000 [2 per cell]
S3 0.175 0.500 0.371 [4 per cell]
S4 0.176 0.500 0.799 [4 per cell]

Properties
Total energy after the MP2020 corrections   -5.479 eV per atom

---

Record 6
This record from Materials Project describes an optimized crystal structure of BaMgAgF7. The functional is GGA-PBE.

Lattice parameters (Å, degrees): 5.762 10.189 9.910 90.00 93.13 90.00
Space group P2_1/c (No. 14)
Symmetry-distinct sites (fractional):
Ba1 0.228 0.176 0.002 [4 per cell]
Mg1 0.193 0.606 0.808 [4 per cell]
Ag1 0.307 0.611 0.185 [4 per cell]
F1 0.016 0.721 0.250 [4 per cell]
F2 0.105 0.539 0.631 [4 per cell]
F3 0.124 0.061 0.625 [4 per cell]
F4 0.240 0.697 0.991 [4 per cell]
F5 0.363 0.052 0.378 [4 per cell]
F6 0.399 0.540 0.378 [4 per cell]
F7 0.478 0.712 0.751 [4 per cell]

Properties
Total energy after the MP2020 corrections   -4.891 eV per atom

---

| no. | calculated total energy (eV per cell) | energy of formation from the pure elements (eV per atom) |
| --- | --- | --- |
| 1 | -57.93 | -1.970 |
| 2 | -58.50 | -2.028 |
| 3 | -85.81 | -1.120 |
| 4 | -38.74 | -0.296 |
| 5 | -125.47 | -1.858 |
| 6 | -182.70 | -2.915 |